*A*
{"formula": "Sr4MgMn2Ga2O11", "functional": "GGA+U", "state": "optimized geometry", "lattice": [[-4.250, 4.056, 0.002], [-4.250, -4.056, -0.002], [-4.250, 0.003, 7.848]], "species": ["Sr", "Sr", "Sr", "Sr", "Mg", "Mn", "Mn", "Ga", "Ga", "O", "O", "O", "O", "O", "O", "O", "O", "O", "O", "O"], "fractional_positions": [[0.141, 0.642, 0.729], [0.641, 0.141, 0.699], [0.340, 0.840, 0.301], [0.870, 0.370, 0.271], [0.313, 0.813, 0.000], [0.248, 0.248, 0.500], [0.747, 0.747, 0.500], [0.529, 0.413, 0.999], [0.912, 0.028, 0.001], [0.163, 0.013, 0.807], [0.517, 0.663, 0.804], [0.320, 0.470, 0.193], [0.967, 0.821, 0.196], [0.521, 0.022, 0.461], [0.983, 0.482, 0.539], [0.001, 0.001, 0.500], [0.495, 0.495, 0.500], [0.845, 0.345, 0.000], [0.654, 0.865, 0.000], [0.365, 0.154, 0.000]], "total_magnetization_mub_per_atom": 0.400, "spacegroup": "C2 (5)", "crystal_system": "monoclinic"}

*B*
{"formula": "Sr4MgMn2Ga2O11", "functional": "GGA+U", "state": "optimized geometry", "lattice": [[0.233, -2.717, -5.214], [5.613, 1.888, 0.422], [4.731, -7.280, 1.022]], "species": ["Sr", "Sr", "Sr", "Sr", "Mg", "Mn", "Mn", "Ga", "Ga", "O", "O", "O", "O", "O", "O", "O", "O", "O", "O", "O"], "fractional_positions": [[0.118, 0.620, 0.756], [0.604, 0.108, 0.756], [0.405, 0.806, 0.284], [0.799, 0.457, 0.236], [0.071, 0.108, 0.265], [0.225, 0.245, 0.519], [0.767, 0.712, 0.529], [0.495, 0.490, 0.992], [0.967, 0.049, 0.986], [0.163, 0.088, 0.760], [0.548, 0.680, 0.770], [0.336, 0.363, 0.269], [0.087, 0.865, 0.145], [0.704, 0.009, 0.402], [0.951, 0.456, 0.550], [0.085, 0.933, 0.499], [0.497, 0.504, 0.499], [0.703, 0.266, 0.980], [0.700, 0.765, 0.026], [0.143, 0.345, 0.030]], "total_magnetization_mub_per_atom": 0.400, "spacegroup": "P1 (1)", "crystal_system": "triclinic"}

What should be chosen as the most stable of them? Choose *B*.

*A*
{"formula": "Sr2MnGaO5", "functional": "GGA+U", "state": "optimized geometry", "lattice": [[0.000, -0.038, 5.487], [0.000, 5.531, -0.041], [-8.267, -2.746, -2.723]], "species": ["Sr", "Sr", "Sr", "Sr", "Mn", "Mn", "Ga", "Ga", "O", "O", "O", "O", "O", "O", "O", "O", "O", "O"], "fractional_positions": [[0.875, 0.403, 0.777], [0.125, 0.597, 0.223], [0.402, 0.874, 0.777], [0.599, 0.126, 0.223], [0.000, 0.000, 0.000], [0.500, 0.500, 0.000], [0.180, 0.185, 0.500], [0.820, 0.815, 0.500], [0.244, 0.244, 0.988], [0.756, 0.756, 0.012], [0.252, 0.752, 0.003], [0.748, 0.248, 0.996], [0.824, 0.166, 0.500], [0.176, 0.835, 0.500], [0.371, 0.384, 0.707], [0.628, 0.616, 0.293], [0.836, 0.824, 0.707], [0.164, 0.177, 0.293]], "total_magnetization_mub_per_atom": 0.000, "spacegroup": "C2/m (12)", "crystal_system": "monoclinic"}

*B*
{"formula": "Sr2MnGaO5", "functional": "GGA+U", "state": "optimized geometry", "lattice": [[-5.413, -0.690, 0.387], [-0.194, -1.663, -5.389], [3.933, -6.448, 4.835]], "species": ["Sr", "Sr", "Sr", "Sr", "Mn", "Mn", "Ga", "Ga", "O", "O", "O", "O", "O", "O", "O", "O", "O", "O"], "fractional_positions": [[0.110, 0.596, 0.222], [0.611, 0.130, 0.223], [0.887, 0.404, 0.778], [0.388, 0.870, 0.777], [0.995, 0.000, 0.000], [0.495, 0.500, 0.000], [0.286, 0.182, 0.504], [0.783, 0.818, 0.496], [0.628, 0.121, 0.499], [0.129, 0.879, 0.501], [0.337, 0.402, 0.719], [0.619, 0.598, 0.281], [0.822, 0.795, 0.703], [0.120, 0.205, 0.297], [0.255, 0.756, 0.013], [0.237, 0.238, 0.984], [0.738, 0.248, 0.987], [0.756, 0.757, 0.016]], "total_magnetization_mub_per_atom": 0.000, "spacegroup": "P1 (1)", "crystal_system": "triclinic"}

What should be chosen as the most stable of them? Choose *B*.

*A*
{"formula": "Sr2MnGaO5", "functional": "GGA+U", "state": "optimized geometry", "lattice": [[0.000, -5.536, -5.478], [-8.217, 2.791, -2.764], [0.000, 5.581, -5.528]], "species": ["Sr", "Sr", "Sr", "Sr", "Sr", "Sr", "Sr", "Sr", "Mn", "Mn", "Mn", "Mn", "Ga", "Ga", "Ga", "Ga", "O", "O", "O", "O", "O", "O", "O", "O", "O", "O", "O", "O", "O", "O", "O", "O", "O", "O", "O", "O"], "fractional_positions": [[0.749, 0.777, 0.376], [0.249, 0.777, 0.876], [0.751, 0.223, 0.124], [0.251, 0.223, 0.624], [0.751, 0.777, 0.847], [0.251, 0.777, 0.347], [0.749, 0.223, 0.653], [0.249, 0.223, 0.153], [0.000, 0.000, 0.500], [0.500, 0.000, 0.500], [0.500, 0.000, 0.000], [0.000, 0.000, 0.000], [0.568, 0.500, 0.253], [0.068, 0.500, 0.753], [0.932, 0.500, 0.247], [0.432, 0.500, 0.747], [0.750, 0.986, 0.007], [0.250, 0.986, 0.507], [0.750, 0.014, 0.493], [0.250, 0.014, 0.993], [0.000, 0.004, 0.748], [0.500, 0.004, 0.248], [0.500, 0.996, 0.752], [0.000, 0.996, 0.252], [0.756, 0.500, 0.420], [0.256, 0.500, 0.920], [0.744, 0.500, 0.080], [0.244, 0.500, 0.580], [0.475, 0.708, 0.153], [0.975, 0.708, 0.653], [0.025, 0.292, 0.347], [0.525, 0.292, 0.847], [0.025, 0.708, 0.139], [0.525, 0.708, 0.639], [0.475, 0.292, 0.361], [0.975, 0.292, 0.861]], "total_magnetization_mub_per_atom": 0.000}

*B*
{"formula": "Sr2MnGaO5", "functional": "GGA+U", "state": "optimized geometry", "lattice": [[5.192, 0.000, -1.634], [-0.544, 5.313, -1.729], [4.643, 5.277, 14.752]], "species": ["Sr", "Sr", "Sr", "Sr", "Sr", "Sr", "Sr", "Sr", "Mn", "Mn", "Mn", "Mn", "Ga", "Ga", "Ga", "Ga", "O", "O", "O", "O", "O", "O", "O", "O", "O", "O", "O", "O", "O", "O", "O", "O", "O", "O", "O", "O"], "fractional_positions": [[0.999, 0.484, 0.113], [0.499, 0.984, 0.613], [0.499, 0.016, 0.113], [0.999, 0.516, 0.613], [0.499, 0.016, 0.387], [0.999, 0.516, 0.887], [0.999, 0.484, 0.387], [0.499, 0.984, 0.887], [0.495, 0.500, 0.500], [0.495, 0.500, 0.000], [0.995, 0.000, 0.000], [0.995, 0.000, 0.500], [0.033, 0.932, 0.250], [0.533, 0.432, 0.750], [0.533, 0.568, 0.250], [0.033, 0.068, 0.750], [0.380, 0.873, 0.250], [0.880, 0.373, 0.750], [0.880, 0.627, 0.250], [0.380, 0.127, 0.750], [0.974, 0.050, 0.354], [0.474, 0.550, 0.854], [0.474, 0.450, 0.146], [0.974, 0.950, 0.646], [0.474, 0.450, 0.354], [0.974, 0.950, 0.854], [0.974, 0.050, 0.146], [0.474, 0.550, 0.646], [0.247, 0.752, 0.006], [0.746, 0.252, 0.506], [0.746, 0.748, 0.494], [0.246, 0.248, 0.994], [0.246, 0.752, 0.494], [0.747, 0.252, 0.994], [0.747, 0.748, 0.006], [0.246, 0.248, 0.506]], "total_magnetization_mub_per_atom": 0.000}

What should be chosen as the most stable of them? Choose *B*.

*A*
{"formula": "KGdSnWO6", "functional": "GGA+U", "state": "optimized geometry", "lattice": [[5.981, 0.000, 0.000], [0.000, 5.981, 0.000], [0.000, 0.000, 8.426]], "species": ["K", "K", "Gd", "Gd", "Sn", "Sn", "W", "W", "O", "O", "O", "O", "O", "O", "O", "O", "O", "O", "O", "O"], "fractional_positions": [[0.000, 0.000, 0.250], [0.000, 0.000, 0.750], [0.500, 0.000, 0.500], [0.000, 0.500, 0.000], [0.500, 0.500, 0.750], [0.500, 0.500, 0.250], [0.500, 0.000, 0.000], [0.000, 0.500, 0.500], [0.276, 0.762, 0.000], [0.724, 0.238, 0.000], [0.238, 0.724, 0.500], [0.762, 0.276, 0.500], [0.724, 0.762, 0.000], [0.762, 0.724, 0.500], [0.276, 0.238, 0.000], [0.238, 0.276, 0.500], [0.500, 0.000, 0.769], [0.000, 0.500, 0.731], [0.500, 0.000, 0.231], [0.000, 0.500, 0.269]], "total_magnetization_mub_per_atom": 0.700, "spacegroup": "P4_2/mmc (131)", "crystal_system": "tetragonal"}

*B*
{"formula": "KGdSnWO6", "functional": "GGA+U", "state": "optimized geometry", "lattice": [[0.000, -4.221, -4.221], [4.221, 0.000, -4.221], [4.221, -4.221, 0.000]], "species": ["K", "Gd", "Sn", "W", "O", "O", "O", "O", "O", "O"], "fractional_positions": [[0.250, 0.250, 0.250], [0.000, 0.000, 0.000], [0.750, 0.750, 0.750], [0.500, 0.500, 0.500], [0.731, 0.269, 0.269], [0.269, 0.731, 0.731], [0.731, 0.269, 0.731], [0.269, 0.731, 0.269], [0.731, 0.731, 0.269], [0.269, 0.269, 0.731]], "total_magnetization_mub_per_atom": 0.700, "spacegroup": "F-43m (216)", "crystal_system": "cubic"}

What should be chosen as the most stable of them? Choose *A*.

*A*
{"formula": "KSrGdWO6", "functional": "GGA+U", "state": "optimized geometry", "lattice": [[8.421, 0.000, 0.000], [0.000, 8.399, 0.000], [0.000, 0.000, 8.400]], "species": ["K", "K", "K", "K", "Sr", "Sr", "Sr", "Sr", "Gd", "Gd", "Gd", "Gd", "W", "W", "W", "W", "O", "O", "O", "O", "O", "O", "O", "O", "O", "O", "O", "O", "O", "O", "O", "O", "O", "O", "O", "O", "O", "O", "O", "O"], "fractional_positions": [[0.000, 0.500, 0.500], [0.500, 0.000, 0.500], [0.500, 0.000, 0.000], [0.000, 0.500, 0.000], [0.500, 0.500, 0.000], [0.000, 0.000, 0.500], [0.000, 0.000, 0.000], [0.500, 0.500, 0.500], [0.750, 0.750, 0.750], [0.250, 0.250, 0.750], [0.250, 0.750, 0.250], [0.750, 0.250, 0.250], [0.250, 0.250, 0.250], [0.750, 0.750, 0.250], [0.750, 0.250, 0.750], [0.250, 0.750, 0.750], [0.019, 0.216, 0.272], [0.981, 0.784, 0.272], [0.981, 0.216, 0.728], [0.019, 0.784, 0.728], [0.264, 0.020, 0.225], [0.264, 0.980, 0.775], [0.736, 0.980, 0.225], [0.736, 0.020, 0.775], [0.227, 0.270, 0.020], [0.773, 0.270, 0.980], [0.227, 0.730, 0.980], [0.773, 0.730, 0.020], [0.481, 0.284, 0.228], [0.519, 0.716, 0.228], [0.519, 0.284, 0.772], [0.481, 0.716, 0.772], [0.236, 0.480, 0.275], [0.236, 0.520, 0.725], [0.764, 0.520, 0.275], [0.764, 0.480, 0.725], [0.273, 0.230, 0.480], [0.727, 0.230, 0.520], [0.273, 0.770, 0.520], [0.727, 0.770, 0.480]], "total_magnetization_mub_per_atom": 0.700, "spacegroup": "Pnnn (48)", "crystal_system": "orthorhombic"}

*B*
{"formula": "KSrGdWO6", "functional": "GGA+U", "state": "optimized geometry", "lattice": [[1.574, 4.436, -3.674], [3.113, -1.189, -4.955], [-2.598, 0.508, -5.352]], "species": ["K", "Sr", "Gd", "W", "O", "O", "O", "O", "O", "O"], "fractional_positions": [[0.250, 0.250, 0.250], [0.750, 0.750, 0.750], [0.000, 0.000, 0.000], [0.500, 0.500, 0.500], [0.731, 0.269, 0.269], [0.269, 0.731, 0.731], [0.731, 0.269, 0.731], [0.269, 0.731, 0.269], [0.731, 0.731, 0.269], [0.269, 0.269, 0.731]], "total_magnetization_mub_per_atom": 0.700, "spacegroup": "F-43m (216)", "crystal_system": "cubic"}

What should be chosen as the most stable of them? Choose *A*.

*A*
{"formula": "Gd6MgWO12", "functional": "GGA+U", "state": "optimized geometry", "lattice": [[-3.751, -0.358, 5.471], [5.723, -2.325, 2.442], [1.359, 6.502, 0.028]], "species": ["Gd", "Gd", "Gd", "Gd", "Gd", "Gd", "Mg", "W", "O", "O", "O", "O", "O", "O", "O", "O", "O", "O", "O", "O"], "fractional_positions": [[0.396, 0.860, 0.674], [0.300, 0.653, 0.133], [0.133, 0.300, 0.653], [0.860, 0.674, 0.396], [0.674, 0.396, 0.860], [0.653, 0.133, 0.300], [0.271, 0.271, 0.271], [0.984, 0.984, 0.984], [0.052, 0.921, 0.687], [0.304, 0.985, 0.090], [0.190, 0.555, 0.418], [0.580, 0.829, 0.408], [0.090, 0.304, 0.985], [0.408, 0.580, 0.829], [0.555, 0.418, 0.190], [0.921, 0.687, 0.052], [0.418, 0.190, 0.555], [0.829, 0.408, 0.580], [0.687, 0.052, 0.921], [0.985, 0.090, 0.304]], "total_magnetization_mub_per_atom": 2.000, "spacegroup": "R3 (146)", "crystal_system": "trigonal"}

*B*
{"formula": "Gd6MgWO12", "functional": "GGA+U", "state": "optimized geometry", "lattice": [[4.839, 2.794, 3.630], [-4.839, 2.794, 3.630], [0.000, -5.588, 3.630]], "species": ["Gd", "Gd", "Gd", "Gd", "Gd", "Gd", "Mg", "W", "O", "O", "O", "O", "O", "O", "O", "O", "O", "O", "O", "O"], "fractional_positions": [[0.436, 0.921, 0.737], [0.263, 0.564, 0.079], [0.079, 0.263, 0.564], [0.921, 0.737, 0.436], [0.737, 0.436, 0.921], [0.564, 0.079, 0.263], [0.500, 0.500, 0.500], [0.000, 0.000, 0.000], [0.075, 0.932, 0.701], [0.299, 0.925, 0.068], [0.194, 0.542, 0.410], [0.590, 0.806, 0.458], [0.068, 0.299, 0.925], [0.458, 0.590, 0.806], [0.542, 0.410, 0.194], [0.932, 0.701, 0.075], [0.410, 0.194, 0.542], [0.806, 0.458, 0.590], [0.701, 0.075, 0.932], [0.925, 0.068, 0.299]], "total_magnetization_mub_per_atom": 2.200, "spacegroup": "R-3 (148)", "crystal_system": "trigonal"}

What should be chosen as the most stable of them? Choose *B*.